# KPH2O2, optimized geometry, DFT PBE-GGA
# Crystal system: monoclinic
# Calculated density in g/cm³: 1.90
# Total energy in eV per atom: -5.21
# Formation energy in eV per atom: -1.5672
data_KPH2O2
_cell_length_a 7.414
_cell_length_b 7.452
_cell_length_c 7.289
_cell_angle_alpha 90.00
_cell_angle_beta 115.25
_cell_angle_gamma 90.00
_symmetry_space_group_name_H-M 'C 1 2/c 1'
_symmetry_Int_Tables_number 15
loop_
_symmetry_equiv_pos_as_xyz
'x,y,z'
'-x,-y,-z'
'-x,y,-z+1/2'
'x,-y,z+1/2'
'x+1/2,y+1/2,z'
'-x+1/2,-y+1/2,-z'
'-x+1/2,y+1/2,-z+1/2'
'x+1/2,-y+1/2,z+1/2'
loop_
_atom_site_label
_atom_site_type_symbol
_atom_site_fract_x
_atom_site_fract_y
_atom_site_fract_z
K1 K 0.000 0.143 0.250
P1 P 0.000 0.318 0.750
H1 H 0.129 0.440 0.899
O1 O 0.119 0.213 0.660